[1]
Here is an optimized crystal structure of Sc2CO from the Materials Project database. Energies are from meta-GGA r2SCAN.

Output
VASP energy: -11.7979 eV per atom
Space group: R-3m
M_tot: 0.0 μB per formula unit
Mass density: 4065 kg/m³
E_form: -2.119 eV per atom

Cell: 5.6116 5.6116 5.6116 Å, 33.59 33.59 33.59°
Last column: nearest neighbours and their distance in Å.
Fractional coordinates of all 4 atoms:
C1 0.5000 0.5000 0.5000  6 Sc 2.26
Sc1 0.2464 0.2464 0.2464  3 C 2.26, 3 O 2.33
Sc2 0.7536 0.7536 0.7536  3 C 2.26, 3 O 2.33
O1 0.0000 0.0000 0.0000  6 Sc 2.33

[2]
Here is an optimized crystal structure of HoRh2 from the Materials Project database. Energies are from meta-GGA r2SCAN.

Output
VASP energy: -27.8676 eV per atom
Space group: Fd-3m
M_tot: 0.0 μB per formula unit
Mass density: 11808 kg/m³
E_form: -0.816 eV per atom

Cell: 5.2832 5.2832 5.2832 Å, 60.00 60.00 60.00°
Last column: nearest neighbours and their distance in Å.
Fractional coordinates of all 6 atoms:
Rh1 0.0000 0.5000 0.5000  6 Rh 2.64
Rh2 0.5000 0.0000 0.5000  6 Rh 2.64
Rh3 0.5000 0.5000 0.0000  6 Rh 2.64
Ho1 0.1250 0.1250 0.1250  12 Rh 3.10, 4 Ho 3.24
Rh4 0.5000 0.5000 0.5000  6 Rh 2.64
Ho2 0.8750 0.8750 0.8750  12 Rh 3.10, 4 Ho 3.24